Sb2Kr5F20 | PBE | optimized geometry

CIF file:
```
data_Sb2Kr5F20
_chemical_formula_sum 'Sb8 Kr20 F80'
_symmetry_space_group_name_H-M 'P 1'
_symmetry_Int_Tables_number 1
_cell_length_a 8.264
_cell_length_b 31.800
_cell_length_c 8.380
_cell_angle_alpha 90.00
_cell_angle_beta 111.53
_cell_angle_gamma 90.00
loop_
_symmetry_equiv_pos_as_xyz
'x,y,z'
loop_
_atom_site_label
_atom_site_type_symbol
_atom_site_fract_x
_atom_site_fract_y
_atom_site_fract_z
Sb1 Sb 0.185 0.176 0.038
Sb2 Sb 0.185 0.324 0.538
Sb3 Sb 0.290 0.576 0.942
Sb4 Sb 0.290 0.924 0.442
Sb5 Sb 0.710 0.076 0.558
Sb6 Sb 0.710 0.424 0.058
Sb7 Sb 0.815 0.676 0.462
Sb8 Sb 0.815 0.824 0.962
Kr1 Kr 0.159 0.059 0.396
Kr2 Kr 0.159 0.441 0.896
Kr3 Kr 0.257 0.719 0.019
Kr4 Kr 0.257 0.781 0.519
Kr5 Kr 0.260 0.031 0.012
Kr6 Kr 0.260 0.469 0.512
Kr7 Kr 0.304 0.624 0.456
Kr8 Kr 0.304 0.876 0.956
Kr9 Kr 0.356 0.195 0.594
Kr10 Kr 0.356 0.305 0.094
Kr11 Kr 0.644 0.695 0.906
Kr12 Kr 0.644 0.805 0.406
Kr13 Kr 0.696 0.124 0.044
Kr14 Kr 0.696 0.376 0.544
Kr15 Kr 0.740 0.531 0.488
Kr16 Kr 0.740 0.969 0.988
Kr17 Kr 0.743 0.219 0.481
Kr18 Kr 0.743 0.281 0.981
Kr19 Kr 0.841 0.559 0.104
Kr20 Kr 0.841 0.941 0.604
F1 F 0.033 0.673 0.651
F2 F 0.033 0.827 0.151
F3 F 0.093 0.221 0.135
F4 F 0.093 0.279 0.635
F5 F 0.102 0.029 0.157
F6 F 0.102 0.471 0.657
F7 F 0.104 0.577 0.723
F8 F 0.104 0.923 0.223
F9 F 0.108 0.135 0.165
F10 F 0.108 0.365 0.665
F11 F 0.128 0.718 0.160
F12 F 0.128 0.782 0.660
F13 F 0.144 0.171 0.567
F14 F 0.144 0.329 0.067
F15 F 0.167 0.533 0.013
F16 F 0.167 0.967 0.513
F17 F 0.181 0.618 0.034
F18 F 0.181 0.882 0.534
F19 F 0.200 0.084 0.606
F20 F 0.200 0.416 0.106
F21 F 0.241 0.566 0.390
F22 F 0.241 0.934 0.890
F23 F 0.269 0.217 0.918
F24 F 0.269 0.283 0.418
F25 F 0.281 0.131 0.946
F26 F 0.281 0.369 0.446
F27 F 0.365 0.682 0.520
F28 F 0.365 0.818 0.020
F29 F 0.391 0.030 0.873
F30 F 0.391 0.470 0.373
F31 F 0.401 0.181 0.232
F32 F 0.401 0.319 0.732
F33 F 0.402 0.724 0.862
F34 F 0.402 0.776 0.362
F35 F 0.404 0.534 0.855
F36 F 0.404 0.966 0.355
F37 F 0.412 0.619 0.873
F38 F 0.412 0.881 0.373
F39 F 0.480 0.573 0.160
F40 F 0.480 0.927 0.660
F41 F 0.520 0.073 0.340
F42 F 0.520 0.427 0.840
F43 F 0.588 0.119 0.627
F44 F 0.588 0.381 0.127
F45 F 0.596 0.034 0.645
F46 F 0.596 0.466 0.145
F47 F 0.598 0.224 0.638
F48 F 0.598 0.276 0.138
F49 F 0.599 0.681 0.268
F50 F 0.599 0.819 0.768
F51 F 0.609 0.530 0.627
F52 F 0.609 0.970 0.127
F53 F 0.635 0.182 0.980
F54 F 0.635 0.318 0.480
F55 F 0.719 0.631 0.554
F56 F 0.719 0.869 0.054
F57 F 0.731 0.717 0.582
F58 F 0.731 0.783 0.082
F59 F 0.759 0.066 0.110
F60 F 0.759 0.434 0.610
F61 F 0.800 0.584 0.894
F62 F 0.800 0.916 0.394
F63 F 0.819 0.118 0.466
F64 F 0.819 0.382 0.966
F65 F 0.833 0.033 0.487
F66 F 0.833 0.467 0.987
F67 F 0.856 0.671 0.933
F68 F 0.856 0.829 0.433
F69 F 0.872 0.218 0.340
F70 F 0.872 0.282 0.840
F71 F 0.892 0.635 0.335
F72 F 0.892 0.865 0.835
F73 F 0.896 0.077 0.777
F74 F 0.896 0.423 0.277
F75 F 0.898 0.529 0.343
F76 F 0.898 0.971 0.843
F77 F 0.907 0.721 0.365
F78 F 0.907 0.779 0.865
F79 F 0.967 0.173 0.849
F80 F 0.967 0.327 0.349
```

The MP2020-corrected energy comes out at -335.20 eV for the cell shown.

Ca18Nd2Si3P9O48F3 | PBE | optimized geometry

CIF file:
```
data_Ca18Nd2Si3P9O48F3
_chemical_formula_sum 'Ca18 Nd2 Si3 P9 O48 F3'
_symmetry_space_group_name_H-M 'P 1'
_symmetry_Int_Tables_number 1
_cell_length_a 9.538
_cell_length_b 13.896
_cell_length_c 9.575
_cell_angle_alpha 90.00
_cell_angle_beta 119.83
_cell_angle_gamma 90.00
loop_
_symmetry_equiv_pos_as_xyz
'x,y,z'
loop_
_atom_site_label
_atom_site_type_symbol
_atom_site_fract_x
_atom_site_fract_y
_atom_site_fract_z
Ca1 Ca 0.000 0.000 0.000
Ca2 Ca 0.049 0.378 0.395
Ca3 Ca 0.049 0.622 0.395
Ca4 Ca 0.053 0.124 0.394
Ca5 Ca 0.053 0.876 0.394
Ca6 Ca 0.383 0.125 0.052
Ca7 Ca 0.383 0.875 0.052
Ca8 Ca 0.389 0.376 0.057
Ca9 Ca 0.389 0.624 0.057
Ca10 Ca 0.438 0.000 0.721
Ca11 Ca 0.478 0.250 0.481
Ca12 Ca 0.478 0.750 0.481
Ca13 Ca 0.725 0.250 0.972
Ca14 Ca 0.725 0.750 0.972
Ca15 Ca 0.728 0.500 0.467
Ca16 Ca 0.737 0.000 0.455
Ca17 Ca 0.965 0.250 0.726
Ca18 Ca 0.965 0.750 0.726
Nd1 Nd 0.473 0.500 0.725
Nd2 Nd 0.964 0.500 0.974
Si1 Si 0.104 0.000 0.752
Si2 Si 0.116 0.500 0.756
Si3 Si 0.698 0.500 0.091
P1 P 0.100 0.248 0.134
P2 P 0.100 0.752 0.134
P3 P 0.320 0.249 0.697
P4 P 0.320 0.751 0.697
P5 P 0.359 0.500 0.337
P6 P 0.371 0.000 0.347
P7 P 0.695 0.000 0.080
P8 P 0.749 0.250 0.352
P9 P 0.749 0.750 0.352
O1 O 0.041 0.000 0.558
O2 O 0.041 0.093 0.812
O3 O 0.041 0.500 0.561
O4 O 0.041 0.907 0.812
O5 O 0.059 0.407 0.823
O6 O 0.059 0.593 0.823
O7 O 0.132 0.250 0.604
O8 O 0.132 0.750 0.604
O9 O 0.192 0.252 0.321
O10 O 0.192 0.748 0.321
O11 O 0.218 0.248 0.068
O12 O 0.218 0.752 0.068
O13 O 0.246 0.000 0.406
O14 O 0.246 0.500 0.411
O15 O 0.258 0.500 0.149
O16 O 0.280 0.000 0.158
O17 O 0.305 0.000 0.856
O18 O 0.317 0.500 0.853
O19 O 0.376 0.160 0.640
O20 O 0.376 0.840 0.640
O21 O 0.379 0.339 0.643
O22 O 0.379 0.661 0.643
O23 O 0.390 0.249 0.881
O24 O 0.390 0.751 0.881
O25 O 0.470 0.410 0.394
O26 O 0.470 0.590 0.394
O27 O 0.485 0.089 0.409
O28 O 0.485 0.911 0.409
O29 O 0.564 0.249 0.237
O30 O 0.564 0.751 0.237
O31 O 0.596 0.500 0.187
O32 O 0.600 0.000 0.175
O33 O 0.643 0.089 0.967
O34 O 0.643 0.408 0.965
O35 O 0.643 0.592 0.965
O36 O 0.643 0.911 0.967
O37 O 0.803 0.339 0.465
O38 O 0.803 0.661 0.465
O39 O 0.806 0.160 0.462
O40 O 0.806 0.840 0.462
O41 O 0.843 0.251 0.257
O42 O 0.843 0.749 0.257
O43 O 0.879 0.000 0.202
O44 O 0.895 0.500 0.208
O45 O 0.985 0.337 0.070
O46 O 0.985 0.663 0.070
O47 O 0.989 0.158 0.082
O48 O 0.989 0.842 0.082
F1 F 0.720 0.249 0.726
F2 F 0.720 0.751 0.726
F3 F 0.723 0.500 0.718
```

The MP2020-corrected energy comes out at -639.82 eV for the cell shown.

Mg5Si9 | PBE | optimized geometry

CIF file:
```
data_Mg5Si9
_chemical_formula_sum 'Mg10 Si18'
_symmetry_space_group_name_H-M 'P 1'
_symmetry_Int_Tables_number 1
_cell_length_a 5.427
_cell_length_b 7.405
_cell_length_c 12.703
_cell_angle_alpha 90.52
_cell_angle_beta 98.61
_cell_angle_gamma 105.91
loop_
_symmetry_equiv_pos_as_xyz
'x,y,z'
loop_
_atom_site_label
_atom_site_type_symbol
_atom_site_fract_x
_atom_site_fract_y
_atom_site_fract_z
Mg1 Mg 0.000 0.000 0.000
Mg2 Mg 0.007 0.448 0.495
Mg3 Mg 0.149 0.826 0.609
Mg4 Mg 0.229 0.695 0.159
Mg5 Mg 0.369 0.510 0.790
Mg6 Mg 0.404 0.434 0.341
Mg7 Mg 0.556 0.235 0.943
Mg8 Mg 0.564 0.652 0.578
Mg9 Mg 0.712 0.113 0.335
Mg10 Mg 0.751 0.077 0.584
Si1 Si 0.106 0.445 0.983
Si2 Si 0.188 0.050 0.227
Si3 Si 0.217 0.076 0.769
Si4 Si 0.235 0.097 0.438
Si5 Si 0.301 0.783 0.403
Si6 Si 0.368 0.262 0.618
Si7 Si 0.389 0.798 0.943
Si8 Si 0.490 0.422 0.127
Si9 Si 0.528 0.032 0.117
Si10 Si 0.585 0.904 0.778
Si11 Si 0.739 0.619 0.992
Si12 Si 0.772 0.781 0.191
Si13 Si 0.810 0.789 0.408
Si14 Si 0.841 0.459 0.696
Si15 Si 0.887 0.500 0.278
Si16 Si 0.900 0.222 0.816
Si17 Si 0.935 0.737 0.823
Si18 Si 0.962 0.270 0.148
```

The energy above the most stable polymorph in this dataset is 74 meV per atom. The MP2020-corrected energy comes out at -107.35 eV for the cell shown.

Taking the records one at a time from the top gives formation energy values of -36.97, -285.94, 3.15 eV/f.u..